1.
{"formula": "NaCuH28CS6N4O14", "functional": "GGA-PBE", "state": "relaxed", "space_group": "Pc, No. 7", "energy_mp2020_ev_per_cell": -581.71, "m_tot_mub_per_atom": 0.000, "cell": [[-7.754, 4.237, 12.910], [-5.223, -3.776, -1.898], [-0.457, -12.000, 3.664]], "species": ["H", "H", "H", "H", "H", "H", "H", "H", "H", "H", "H", "H", "H", "H", "H", "H", "H", "H", "H", "H", "H", "H", "H", "H", "H", "H", "H", "H", "H", "H", "H", "H", "H", "H", "H", "H", "H", "H", "H", "H", "H", "H", "H", "H", "H", "H", "H", "H", "H", "H", "H", "H", "H", "H", "H", "H", "N", "N", "N", "N", "N", "N", "N", "N", "S", "S", "S", "S", "S", "S", "S", "S", "S", "S", "S", "S", "O", "O", "O", "O", "O", "O", "O", "O", "O", "O", "O", "O", "O", "O", "O", "O", "O", "O", "O", "O", "O", "O", "O", "O", "O", "O", "O", "O", "Na", "Na", "C", "C", "Cu", "Cu"], "frac_coords": [[0.309, 0.983, 0.562], [0.394, 0.863, 0.530], [0.956, 0.634, 0.915], [0.015, 0.995, 0.403], [0.726, 0.524, 0.951], [0.563, 0.001, 0.645], [0.221, 0.549, 0.547], [0.440, 0.761, 0.133], [0.067, 0.290, 0.974], [0.980, 0.445, 0.618], [0.732, 0.046, 0.431], [0.936, 0.562, 0.125], [0.272, 0.294, 0.797], [0.915, 0.923, 0.482], [0.993, 0.731, 0.278], [0.083, 0.866, 0.288], [0.923, 0.166, 0.333], [0.794, 0.769, 0.627], [0.360, 0.123, 0.846], [0.085, 0.923, 0.982], [0.985, 0.995, 0.903], [0.728, 0.294, 0.297], [0.206, 0.769, 0.127], [0.465, 0.317, 0.844], [0.640, 0.123, 0.346], [0.560, 0.761, 0.633], [0.271, 0.044, 0.795], [0.077, 0.166, 0.833], [0.933, 0.290, 0.474], [0.208, 0.004, 0.128], [0.020, 0.445, 0.118], [0.591, 0.748, 0.766], [0.343, 0.091, 0.417], [0.917, 0.866, 0.788], [0.911, 0.606, 0.799], [0.535, 0.317, 0.344], [0.515, 0.197, 0.266], [0.691, 0.983, 0.062], [0.437, 0.001, 0.145], [0.268, 0.046, 0.931], [0.409, 0.748, 0.266], [0.485, 0.197, 0.766], [0.656, 0.873, 0.644], [0.792, 0.004, 0.628], [0.089, 0.606, 0.299], [0.403, 0.119, 0.521], [0.044, 0.634, 0.415], [0.779, 0.549, 0.047], [0.274, 0.524, 0.451], [0.344, 0.873, 0.144], [0.729, 0.044, 0.295], [0.007, 0.731, 0.778], [0.657, 0.091, 0.917], [0.064, 0.562, 0.625], [0.606, 0.863, 0.030], [0.597, 0.119, 0.021], [0.362, 0.013, 0.507], [0.292, 0.125, 0.843], [0.408, 0.846, 0.172], [0.592, 0.846, 0.672], [0.052, 0.710, 0.321], [0.948, 0.710, 0.821], [0.638, 0.013, 0.007], [0.708, 0.125, 0.343], [0.188, 0.723, 0.732], [0.177, 0.567, 0.918], [0.422, 0.604, 0.889], [0.578, 0.604, 0.389], [0.817, 0.266, 0.756], [0.812, 0.723, 0.232], [0.476, 0.506, 0.509], [0.309, 0.321, 0.201], [0.823, 0.567, 0.418], [0.691, 0.321, 0.701], [0.524, 0.506, 0.009], [0.183, 0.266, 0.256], [0.182, 0.140, 0.389], [0.470, 0.166, 0.849], [0.141, 0.133, 0.203], [0.763, 0.580, 0.194], [0.520, 0.255, 0.092], [0.602, 0.565, 0.931], [0.230, 0.949, 0.688], [0.017, 0.203, 0.972], [0.039, 0.470, 0.590], [0.859, 0.133, 0.703], [0.784, 0.510, 0.981], [0.961, 0.470, 0.090], [0.098, 0.762, 0.682], [0.523, 0.629, 0.080], [0.861, 0.492, 0.707], [0.237, 0.580, 0.694], [0.770, 0.949, 0.188], [0.983, 0.203, 0.472], [0.902, 0.762, 0.182], [0.530, 0.166, 0.349], [0.477, 0.629, 0.580], [0.480, 0.255, 0.592], [0.236, 0.916, 0.094], [0.398, 0.565, 0.431], [0.818, 0.140, 0.889], [0.216, 0.510, 0.481], [0.764, 0.916, 0.594], [0.139, 0.492, 0.207], [0.879, 0.199, 0.044], [0.121, 0.199, 0.544], [0.043, 0.064, 0.920], [0.957, 0.064, 0.420], [0.694, 0.499, 0.500], [0.306, 0.499, 0.000]]}


2.
{"formula": "Mg2Sn", "functional": "GGA-PBE", "state": "relaxed", "space_group": "Cm, No. 8", "m_tot_mub_per_atom": 0.001, "cell": [[4.679, -3.944, -0.005], [5.128, -2.036, -2.648], [5.580, 3.758, 3.661]], "species": ["Sn", "Sn", "Mg", "Mg", "Mg", "Mg"], "frac_coords": [[0.614, 0.614, 0.272], [0.941, 0.941, 0.617], [0.278, 0.278, 0.944], [0.000, 0.000, 0.000], [0.334, 0.334, 0.332], [0.666, 0.666, 0.667]]}


3.
{"formula": "Mn2InCo", "functional": "GGA-PBE", "state": "relaxed", "space_group": "F-43m, No. 216", "m_tot_mub_per_atom": 1.999, "cell": [[-3.087, -3.087, 0.000], [-3.087, 0.000, -3.087], [0.000, -3.087, -3.087]], "species": ["Mn", "Mn", "In", "Co"], "frac_coords": [[0.000, 0.000, 0.000], [0.250, 0.250, 0.250], [0.750, 0.750, 0.750], [0.500, 0.500, 0.500]]}


4.
{"formula": "TlV4FeS8", "functional": "GGA-PBE", "state": "relaxed", "space_group": "C2/m, No. 12", "energy_mp2020_ev_per_cell": -95.21, "m_tot_mub_per_atom": 0.211, "cell": [[-1.077, -1.922, -2.461], [-7.961, 1.009, 2.697], [1.906, 7.437, -4.425]], "species": ["S", "S", "S", "S", "S", "S", "S", "S", "V", "V", "V", "V", "Fe", "Tl"], "frac_coords": [[0.919, 0.677, 0.838], [0.241, 0.662, 0.482], [0.841, 0.005, 0.682], [0.081, 0.323, 0.162], [0.159, 0.995, 0.318], [0.569, 0.669, 0.139], [0.759, 0.338, 0.518], [0.431, 0.331, 0.861], [0.647, 0.498, 0.293], [0.353, 0.502, 0.707], [0.711, 0.859, 0.422], [0.289, 0.141, 0.578], [0.000, 0.500, 0.000], [0.500, 0.000, 0.000]]}


5.
{"formula": "UAlCo", "functional": "GGA-PBE", "state": "relaxed", "space_group": "Imma, No. 74", "m_tot_mub_per_atom": 0.000, "cell": [[-3.458, -0.105, -3.735], [3.458, -3.735, -0.105], [-3.458, -3.735, -0.105]], "species": ["Co", "Co", "Al", "Al", "U", "U"], "frac_coords": [[0.750, 0.375, 0.375], [0.250, 0.875, 0.375], [0.750, 0.375, 0.875], [0.250, 0.375, 0.375], [0.000, 0.968, 0.032], [0.500, 0.782, 0.718]]}


6.
{"formula": "Ba6Sn6Se13", "functional": "GGA-PBE", "state": "relaxed", "space_group": "P2_12_12_1, No. 19", "energy_mp2020_ev_per_cell": -470.86, "m_tot_mub_per_atom": 0.000, "cell": [[-7.412, 2.335, -5.278], [-1.686, -12.195, -3.027], [-16.469, -3.122, 21.744]], "species": ["Sn", "Sn", "Sn", "Sn", "Sn", "Sn", "Sn", "Sn", "Sn", "Sn", "Sn", "Sn", "Sn", "Sn", "Sn", "Sn", "Sn", "Sn", "Sn", "Sn", "Sn", "Sn", "Sn", "Sn", "Se", "Se", "Se", "Se", "Se", "Se", "Se", "Se", "Se", "Se", "Se", "Se", "Se", "Se", "Se", "Se", "Se", "Se", "Se", "Se", "Se", "Se", "Se", "Se", "Se", "Se", "Se", "Se", "Se", "Se", "Se", "Se", "Se", "Se", "Se", "Se", "Se", "Se", "Se", "Se", "Se", "Se", "Se", "Se", "Se", "Se", "Se", "Se", "Se", "Se", "Se", "Se", "Ba", "Ba", "Ba", "Ba", "Ba", "Ba", "Ba", "Ba", "Ba", "Ba", "Ba", "Ba", "Ba", "Ba", "Ba", "Ba", "Ba", "Ba", "Ba", "Ba", "Ba", "Ba", "Ba", "Ba"], "frac_coords": [[0.725, 0.674, 0.366], [0.275, 0.174, 0.134], [0.254, 0.833, 0.780], [0.754, 0.667, 0.220], [0.746, 0.157, 0.133], [0.225, 0.826, 0.634], [0.241, 0.771, 0.497], [0.259, 0.229, 0.997], [0.257, 0.661, 0.080], [0.246, 0.343, 0.867], [0.246, 0.167, 0.280], [0.274, 0.331, 0.716], [0.754, 0.843, 0.633], [0.759, 0.271, 0.003], [0.757, 0.839, 0.920], [0.226, 0.669, 0.216], [0.254, 0.657, 0.367], [0.243, 0.339, 0.580], [0.746, 0.333, 0.720], [0.743, 0.161, 0.420], [0.741, 0.729, 0.503], [0.774, 0.169, 0.284], [0.726, 0.831, 0.784], [0.775, 0.326, 0.866], [0.011, 0.307, 0.626], [0.015, 0.311, 0.934], [0.250, 0.532, 0.547], [0.254, 0.042, 0.789], [0.747, 0.949, 0.125], [0.248, 0.539, 0.711], [0.750, 0.968, 0.453], [0.250, 0.468, 0.047], [0.468, 0.313, 0.634], [0.511, 0.193, 0.374], [0.532, 0.813, 0.866], [0.965, 0.320, 0.788], [0.746, 0.534, 0.542], [0.246, 0.958, 0.289], [0.012, 0.184, 0.217], [0.485, 0.689, 0.434], [0.515, 0.189, 0.066], [0.246, 0.759, 0.999], [0.748, 0.961, 0.289], [0.041, 0.686, 0.435], [0.754, 0.259, 0.501], [0.488, 0.816, 0.717], [0.249, 0.968, 0.123], [0.541, 0.814, 0.565], [0.032, 0.687, 0.134], [0.988, 0.684, 0.283], [0.246, 0.966, 0.458], [0.252, 0.461, 0.211], [0.749, 0.532, 0.877], [0.512, 0.316, 0.783], [0.465, 0.180, 0.212], [0.754, 0.466, 0.042], [0.254, 0.034, 0.958], [0.754, 0.458, 0.211], [0.459, 0.314, 0.935], [0.247, 0.551, 0.875], [0.751, 0.468, 0.377], [0.489, 0.693, 0.126], [0.746, 0.542, 0.711], [0.253, 0.449, 0.375], [0.989, 0.807, 0.874], [0.746, 0.741, 0.001], [0.968, 0.187, 0.366], [0.985, 0.811, 0.566], [0.035, 0.820, 0.712], [0.254, 0.241, 0.499], [0.251, 0.032, 0.623], [0.535, 0.680, 0.288], [0.959, 0.186, 0.065], [0.750, 0.032, 0.953], [0.753, 0.051, 0.625], [0.752, 0.039, 0.789], [0.001, 0.070, 0.537], [0.499, 0.594, 0.628], [0.001, 0.406, 0.128], [0.502, 0.084, 0.706], [0.002, 0.433, 0.464], [0.499, 0.930, 0.037], [0.498, 0.567, 0.964], [0.999, 0.570, 0.963], [0.002, 0.416, 0.294], [0.509, 0.421, 0.127], [0.491, 0.921, 0.373], [0.501, 0.430, 0.463], [0.008, 0.096, 0.706], [0.998, 0.916, 0.206], [0.009, 0.079, 0.873], [0.502, 0.067, 0.536], [0.501, 0.094, 0.872], [0.999, 0.906, 0.372], [0.508, 0.404, 0.294], [0.991, 0.579, 0.627], [0.998, 0.933, 0.036], [0.992, 0.596, 0.794], [0.492, 0.904, 0.206], [0.498, 0.584, 0.794]]}


7.
{"formula": "NaGdO2", "functional": "GGA-PBE", "state": "relaxed", "space_group": "I4_1/amd, No. 141", "energy_mp2020_ev_per_cell": -75.22, "cell": [[1.954, 5.650, 1.876], [-4.299, 3.648, 2.733], [1.981, -5.909, 0.649]], "species": ["Na", "Na", "Gd", "Gd", "O", "O", "O", "O"], "frac_coords": [[0.500, 0.500, 0.000], [0.250, 0.750, 0.500], [0.750, 0.250, 0.500], [0.000, 0.000, 0.000], [0.530, 0.030, 0.500], [0.220, 0.220, 0.000], [0.970, 0.470, 0.500], [0.780, 0.780, 0.000]]}


8.
{"formula": "Te2MoWS2", "functional": "GGA-PBE", "state": "relaxed", "space_group": "P3m1, No. 156", "e_above_lowest_polymorph_kcal_per_mol_atoms": 0.85, "energy_mp2020_ev_per_cell": -83.89, "m_tot_mub_per_atom": 0.001, "cell": [[1.680, -2.910, 0.000], [1.680, 2.910, 0.000], [0.000, 0.000, 39.930]], "species": ["Te", "Te", "Te", "Te", "W", "W", "Mo", "Mo", "S", "S", "S", "S"], "frac_coords": [[0.333, 0.667, 0.424], [0.333, 0.667, 0.519], [0.000, 0.000, 0.328], [0.000, 0.000, 0.233], [0.000, 0.000, 0.471], [0.333, 0.667, 0.658], [0.000, 0.000, 0.094], [0.333, 0.667, 0.280], [0.333, 0.667, 0.056], [0.000, 0.000, 0.620], [0.333, 0.667, 0.132], [0.000, 0.000, 0.696]]}


Number 1: theoretical density 1722 kg/m3, calculated formation energy -94.3 kJ per mole of atoms. Number 2: theoretical density 3863 kg/m3, calculated formation energy -1.7 kJ per mole of atoms. Number 3: theoretical density 8005 kg/m3, calculated formation energy 19.9 kJ per mole of atoms. Number 4: theoretical density 5098 kg/m3, calculated formation energy -103.0 kJ per mole of atoms. Number 5: theoretical density 11163 kg/m3, calculated formation energy -25.0 kJ per mole of atoms. Number 6: theoretical density 5206 kg/m3, calculated formation energy -141.6 kJ per mole of atoms. Number 7: theoretical density 6044 kg/m3, calculated formation energy -297.1 kJ per mole of atoms. Number 8: theoretical density 5097 kg/m3, calculated formation energy -57.6 kJ per mole of atoms.